[1]
A plane-wave DFT calculation with PBE was carried out for K2Na3P3O10 after structural relaxation.

abc: 10.010 5.703 18.893
angles: 90.00 96.18 90.00
Space group C2/c (No. 15)
Symmetry-distinct sites (fractional):
K1 0.094 0.228 0.077 [8 per cell]
Na1 0.218 0.192 0.328 [8 per cell]
Na2 0.250 0.250 0.500 [4 per cell]
P1 0.000 0.404 0.750 [4 per cell]
P2 0.068 0.271 0.899 [8 per cell]
O1 0.045 0.214 0.811 [8 per cell]
O2 0.073 0.276 0.577 [8 per cell]
O3 0.121 0.458 0.231 [8 per cell]
O4 0.142 0.495 0.406 [8 per cell]
O5 0.151 0.059 0.927 [8 per cell]

Output
- formation enthalpy at 0 K (eV per atom) = -2.645
- E (eV/atom) = -6.26

=====

[2]
A plane-wave DFT calculation with PBE was carried out for KNaP6Pb8O24 after structural relaxation.

abc: 9.9525 9.9525 7.3509
angles: 90.00 90.00 120.00
Space group P3 (No. 143)
Symmetry-distinct sites (fractional):
K1 0.0000 0.0000 0.0000 [1 per cell]
Na1 0.3333 0.6667 0.4844 [1 per cell]
P1 0.0428 0.7268 0.2416 [3 per cell]
P2 0.0626 0.3564 0.7350 [3 per cell]
Pb1 0.0000 0.0000 0.5032 [1 per cell]
Pb2 0.3333 0.6667 0.0027 [1 per cell]
Pb3 0.4067 0.3346 0.7402 [3 per cell]
Pb4 0.4079 0.0733 0.2433 [3 per cell]
O1 0.0110 0.4177 0.5696 [3 per cell]
O2 0.0165 0.4151 0.9085 [3 per cell]
O3 0.0916 0.2390 0.2444 [3 per cell]
O4 0.1461 0.6514 0.2440 [3 per cell]
O5 0.1915 0.0135 0.7309 [3 per cell]
O6 0.1907 0.7556 0.7348 [3 per cell]
O7 0.3188 0.2522 0.4110 [3 per cell]
O8 0.3238 0.2577 0.0729 [3 per cell]

Output
- formation enthalpy at 0 K (eV per atom) = -2.378
- E (eV/atom) = -6.55

=====

[3]
A plane-wave DFT calculation with PBE was carried out for KNaTi2P2O10 after structural relaxation.

abc: 12.911 6.375 10.706
angles: 90.00 90.00 90.00
Space group Pna2_1 (No. 33)
Symmetry-distinct sites (fractional):
K1 0.101 0.181 0.000 [4 per cell]
Na1 0.149 0.767 0.719 [4 per cell]
Ti1 0.128 0.493 0.433 [4 per cell]
Ti2 0.246 0.760 0.186 [4 per cell]
P1 0.004 0.339 0.695 [4 per cell]
P2 0.184 0.999 0.444 [4 per cell]
O1 0.007 0.532 0.319 [4 per cell]
O2 0.017 0.493 0.587 [4 per cell]
O3 0.094 0.801 0.174 [4 per cell]
O4 0.099 0.190 0.712 [4 per cell]
O5 0.112 0.187 0.420 [4 per cell]
O6 0.116 0.805 0.473 [4 per cell]
O7 0.224 0.462 0.574 [4 per cell]
O8 0.225 0.530 0.318 [4 per cell]
O9 0.244 0.465 0.830 [4 per cell]
O10 0.245 0.532 0.060 [4 per cell]

Output
- formation enthalpy at 0 K (eV per atom) = -3.025
- E (eV/atom) = -7.50

=====

[4]
A plane-wave DFT calculation with PBE was carried out for KNa2Zn3P3O12 after structural relaxation.

abc: 17.9093 17.9093 8.2994
angles: 90.00 90.00 120.00
Space group P6_3 (No. 173)
Symmetry-distinct sites (fractional):
K1 0.0000 0.0000 0.0000 [2 per cell]
K2 0.0008 0.4981 0.4848 [6 per cell]
Na1 0.1528 0.8307 0.9666 [6 per cell]
Na2 0.1576 0.3385 0.5170 [6 per cell]
Na3 0.3333 0.6667 0.0215 [2 per cell]
Na4 0.3333 0.6667 0.4615 [2 per cell]
Zn1 0.0042 0.3358 0.8245 [6 per cell]
Zn2 0.0106 0.8381 0.6633 [6 per cell]
Zn3 0.1661 0.6706 0.8169 [6 per cell]
Zn4 0.1692 0.5085 0.3163 [6 per cell]
P1 0.0096 0.3385 0.2159 [6 per cell]
P2 0.0142 0.8404 0.2690 [6 per cell]
P3 0.1619 0.6739 0.2082 [6 per cell]
P4 0.1706 0.5115 0.7101 [6 per cell]
O1 0.0397 0.2577 0.7282 [6 per cell]
O2 0.0441 0.7592 0.7605 [6 per cell]
O3 0.0469 0.1214 0.7631 [6 per cell]
O4 0.0504 0.6223 0.7188 [6 per cell]
O5 0.0516 0.3505 0.0469 [6 per cell]
O6 0.0565 0.8552 0.4385 [6 per cell]
O7 0.0716 0.4516 0.7278 [6 per cell]
O8 0.0841 0.3857 0.3408 [6 per cell]
O9 0.0882 0.8869 0.1435 [6 per cell]
O10 0.1202 0.5743 0.2185 [6 per cell]
O11 0.1211 0.7072 0.3353 [6 per cell]
O12 0.1446 0.6988 0.0388 [6 per cell]
O13 0.1916 0.5553 0.5415 [6 per cell]
O14 0.2049 0.5854 0.8384 [6 per cell]
O15 0.2140 0.4553 0.7307 [6 per cell]
O16 0.2608 0.7143 0.2387 [6 per cell]

Output
- formation enthalpy at 0 K (eV per atom) = -2.497
- E (eV/atom) = -6.06

=====

[5]
A plane-wave DFT calculation with PBE was carried out for K6Na2Te2PtO26 after structural relaxation.

abc: 22.156 6.932 8.031
angles: 90.00 98.85 90.00
Space group C2/m (No. 12)
Symmetry-distinct sites (fractional):
K1 0.042 0.000 0.198 [4 per cell]
K2 0.167 0.500 0.904 [4 per cell]
K3 0.207 0.000 0.420 [4 per cell]
Na1 0.110 0.000 0.785 [4 per cell]
Te1 0.118 0.500 0.326 [4 per cell]
Pt1 0.000 0.500 0.500 [2 per cell]
O1 0.045 0.000 0.538 [4 per cell]
O2 0.051 0.500 0.703 [4 per cell]
O3 0.058 0.317 0.408 [8 per cell]
O4 0.063 0.500 0.104 [4 per cell]
O5 0.080 0.237 0.957 [8 per cell]
O6 0.160 0.000 0.060 [4 per cell]
O7 0.164 0.292 0.244 [8 per cell]
O8 0.172 0.500 0.534 [4 per cell]
O9 0.225 0.091 0.782 [8 per cell]

Output
- formation enthalpy at 0 K (eV per atom) = -0.346
- E (eV/atom) = -4.30

=====

[6]
A plane-wave DFT calculation with PBE was carried out for K3NaRe2O9 after structural relaxation.

abc: 6.1257 6.1257 14.5512
angles: 90.00 90.00 120.00
Space group P6_3/mmc (No. 194)
Symmetry-distinct sites (fractional):
K1 0.0000 0.0000 0.2500 [2 per cell]
K2 0.3333 0.6667 0.1165 [4 per cell]
Na1 0.0000 0.0000 0.0000 [2 per cell]
Re1 0.3333 0.6667 0.6491 [4 per cell]
O1 0.0616 0.5308 0.7500 [6 per cell]
O2 0.1829 0.3658 0.5936 [12 per cell]

Output
- formation enthalpy at 0 K (eV per atom) = -2.237
- E (eV/atom) = -6.76

=====

[7]
A plane-wave DFT calculation with PBE was carried out for KNaS2O7 after structural relaxation.

abc: 5.988 7.348 7.597
angles: 101.50 90.13 94.40
Space group P-1 (No. 2)
Symmetry-distinct sites (fractional):
K1 0.226 0.277 0.431 [2 per cell]
Na1 0.208 0.144 0.898 [2 per cell]
S1 0.276 0.674 0.902 [2 per cell]
S2 0.284 0.775 0.303 [2 per cell]
O1 0.097 0.894 0.305 [2 per cell]
O2 0.099 0.801 0.892 [2 per cell]
O3 0.232 0.488 0.795 [2 per cell]
O4 0.260 0.649 0.428 [2 per cell]
O5 0.261 0.624 0.107 [2 per cell]
O6 0.497 0.124 0.693 [2 per cell]
O7 0.500 0.239 0.113 [2 per cell]

Output
- formation enthalpy at 0 K (eV per atom) = -2.095
- E (eV/atom) = -5.78